Entry 1:
Here is an optimized crystal structure of Sr4GeN4 from Materials Project. Energies are from PBE-GGA.

Space-group type   P-1, No. 2
VASP energy   -5.562 eV/atom

a = 6.7666 Å, b = 6.8868 Å, c = 8.5764 Å
α = 82.30°, β = 74.16°, γ = 60.71°
Atoms (fractional coordinates):
Sr1 0.0357 0.2265 0.0566
Sr2 0.1175 0.2947 0.6332
Sr3 0.2627 0.7741 0.5562
Sr4 0.4123 0.7070 0.1329
Sr5 0.5877 0.2930 0.8671
Sr6 0.7373 0.2259 0.4438
Sr7 0.8825 0.7053 0.3668
Sr8 0.9643 0.7735 0.9434
Ge1 0.3758 0.2480 0.2499
Ge2 0.6242 0.7520 0.7501
N1 0.2112 0.0803 0.3400
N2 0.2232 0.4603 0.0916
N3 0.2928 0.9229 0.8396
N4 0.3177 0.4601 0.4078
N5 0.6823 0.5399 0.5922
N6 0.7072 0.0771 0.1604
N7 0.7768 0.5397 0.9084
N8 0.7888 0.9197 0.6600



Entry 2:
Here is an optimized crystal structure of Sr4GeN4 from Materials Project. Energies are from PBE-GGA.

Space-group type   Pnna, No. 52
VASP energy   -5.491 eV/atom

a = 6.1325 Å, b = 11.9090 Å, c = 9.9443 Å
α = 90.00°, β = 90.00°, γ = 90.00°
Atoms (fractional coordinates):
Sr1 0.1184 0.1259 0.1038
Sr2 0.1184 0.3741 0.3962
Sr3 0.1477 0.2500 0.7500
Sr4 0.2500 0.0000 0.4303
Sr5 0.2500 0.5000 0.0697
Sr6 0.3523 0.7500 0.7500
Sr7 0.3816 0.6259 0.3962
Sr8 0.3816 0.8741 0.1038
Sr9 0.6184 0.1259 0.8962
Sr10 0.6184 0.3741 0.6038
Sr11 0.6477 0.2500 0.2500
Sr12 0.7500 0.0000 0.5697
Sr13 0.7500 0.5000 0.9303
Sr14 0.8523 0.7500 0.2500
Sr15 0.8816 0.6259 0.6038
Sr16 0.8816 0.8741 0.8962
Ge1 0.2500 0.0000 0.7475
Ge2 0.2500 0.5000 0.7525
Ge3 0.7500 0.0000 0.2525
Ge4 0.7500 0.5000 0.2475
N1 0.0174 0.0722 0.8540
N2 0.0174 0.4278 0.6460
N3 0.0959 0.6116 0.8562
N4 0.0959 0.8884 0.6438
N5 0.4041 0.1116 0.6438
N6 0.4041 0.3884 0.8562
N7 0.4826 0.5722 0.6460
N8 0.4826 0.9278 0.8540
N9 0.5174 0.0722 0.1460
N10 0.5174 0.4278 0.3540
N11 0.5959 0.6116 0.1438
N12 0.5959 0.8884 0.3562
N13 0.9041 0.1116 0.3562
N14 0.9041 0.3884 0.1438
N15 0.9826 0.5722 0.3540
N16 0.9826 0.9278 0.1460



Entry 3:
Here is an optimized crystal structure of Sr6Ge5N2 from Materials Project. Energies are from PBE-GGA.

Space-group type   Pmmn, No. 59
VASP energy   -4.488 eV/atom

a = 4.0546 Å, b = 18.0892 Å, c = 9.1691 Å
α = 90.00°, β = 90.00°, γ = 90.00°
Atoms (fractional coordinates):
Sr1 0.2500 0.0661 0.1146
Sr2 0.2500 0.2500 0.7578
Sr3 0.2500 0.4339 0.1146
Sr4 0.2500 0.6100 0.5363
Sr5 0.2500 0.7500 0.8398
Sr6 0.2500 0.8900 0.5363
Sr7 0.7500 0.1100 0.4637
Sr8 0.7500 0.2500 0.1602
Sr9 0.7500 0.3900 0.4637
Sr10 0.7500 0.5661 0.8854
Sr11 0.7500 0.7500 0.2422
Sr12 0.7500 0.9339 0.8854
Ge1 0.2500 0.0553 0.7372
Ge2 0.2500 0.2500 0.4199
Ge3 0.2500 0.4447 0.7372
Ge4 0.2500 0.6199 0.1438
Ge5 0.2500 0.8801 0.1438
Ge6 0.7500 0.1199 0.8562
Ge7 0.7500 0.3801 0.8562
Ge8 0.7500 0.5553 0.2628
Ge9 0.7500 0.7500 0.5801
Ge10 0.7500 0.9447 0.2628
N1 0.2500 0.1665 0.2935
N2 0.2500 0.3335 0.2935
N3 0.7500 0.6665 0.7065
N4 0.7500 0.8335 0.7065



Entry 4:
Here is an optimized crystal structure of Sr2GeN2 from Materials Project. Energies are from PBE-GGA.

Space-group type   Cmce, No. 64
VASP energy   -5.591 eV/atom

a = 6.3537 Å, b = 6.3537 Å, c = 12.2666 Å
α = 90.00°, β = 90.00°, γ = 129.06°
Atoms (fractional coordinates):
Sr1 0.0479 0.9521 0.8577
Sr2 0.1440 0.8560 0.4417
Sr3 0.3560 0.6440 0.9417
Sr4 0.4521 0.5479 0.3577
Sr5 0.5479 0.4521 0.6423
Sr6 0.6440 0.3560 0.0583
Sr7 0.8560 0.1440 0.5583
Sr8 0.9521 0.0479 0.1423
Ge1 0.2397 0.7603 0.6800
Ge2 0.2603 0.7397 0.1800
Ge3 0.7397 0.2603 0.8200
Ge4 0.7603 0.2397 0.3200
N1 0.0790 0.9210 0.6415
N2 0.1601 0.8399 0.0596
N3 0.3399 0.6601 0.5596
N4 0.4210 0.5790 0.1415
N5 0.5790 0.4210 0.8585
N6 0.6601 0.3399 0.4404
N7 0.8399 0.1601 0.9404
N8 0.9210 0.0790 0.3585



Entry 5:
Here is an optimized crystal structure of Ge2TeN2 from Materials Project. Energies are from PBE-GGA.

Space-group type   Cmc2_1, No. 36
VASP energy   -5.667 eV/atom

a = 6.9990 Å, b = 6.9990 Å, c = 5.3054 Å
α = 90.00°, β = 90.00°, γ = 49.88°
Atoms (fractional coordinates):
Ge1 0.0437 0.3426 0.0000
Ge2 0.3426 0.0437 0.5000
Ge3 0.6574 0.9563 0.0000
Ge4 0.9563 0.6574 0.5000
Te1 0.2677 0.7323 0.6287
Te2 0.7323 0.2677 0.1287
N1 0.1229 0.3509 0.3351
N2 0.3509 0.1229 0.8351
N3 0.6491 0.8771 0.3351
N4 0.8771 0.6491 0.8351



Entry 6:
Here is an optimized crystal structure of V3GeN from Materials Project. Energies are from PBE-GGA.

Space-group type   Cmcm, No. 63
VASP energy   -8.763 eV/atom

a = 5.3017 Å, b = 5.3017 Å, c = 7.7305 Å
α = 90.00°, β = 90.00°, γ = 146.59°
Atoms (fractional coordinates):
V1 0.0396 0.9604 0.7500
V2 0.3744 0.6256 0.5453
V3 0.3744 0.6256 0.9547
V4 0.6256 0.3744 0.0453
V5 0.6256 0.3744 0.4547
V6 0.9604 0.0396 0.2500
Ge1 0.2564 0.7436 0.2500
Ge2 0.7436 0.2564 0.7500
N1 0.0000 0.0000 0.0000
N2 0.0000 0.0000 0.5000



Entry 7:
Here is an optimized crystal structure of Y5Ge3N9 from Materials Project. Energies are from PBE-GGA.

Space-group type   Cmce, No. 64
VASP energy   -7.973 eV/atom

a = 7.7554 Å, b = 7.7554 Å, c = 15.6828 Å
α = 90.00°, β = 90.00°, γ = 93.96°
Atoms (fractional coordinates):
Y1 0.0048 0.9952 0.8289
Y2 0.0190 0.9810 0.6110
Y3 0.0242 0.5581 0.3712
Y4 0.0581 0.5242 0.8712
Y5 0.2071 0.2071 0.0000
Y6 0.2929 0.2929 0.5000
Y7 0.4419 0.9758 0.3712
Y8 0.4758 0.9419 0.8712
Y9 0.4810 0.5190 0.1110
Y10 0.4952 0.5048 0.3289
Y11 0.5048 0.4952 0.6711
Y12 0.5190 0.4810 0.8890
Y13 0.5242 0.0581 0.1288
Y14 0.5581 0.0242 0.6288
Y15 0.7071 0.7071 0.5000
Y16 0.7929 0.7929 0.0000
Y17 0.9419 0.4758 0.1288
Y18 0.9758 0.4419 0.6288
Y19 0.9810 0.0190 0.3890
Y20 0.9952 0.0048 0.1711
Ge1 0.2185 0.2815 0.2500
Ge2 0.2449 0.7551 0.5132
Ge3 0.2493 0.7507 0.7223
Ge4 0.2507 0.7493 0.2223
Ge5 0.2551 0.7449 0.0132
Ge6 0.2815 0.2185 0.7500
Ge7 0.7185 0.7815 0.2500
Ge8 0.7449 0.2551 0.9868
Ge9 0.7493 0.2507 0.7777
Ge10 0.7507 0.2493 0.2777
Ge11 0.7551 0.2449 0.4868
Ge12 0.7815 0.7185 0.7500
N1 0.0010 0.7155 0.5052
N2 0.0142 0.7284 0.7249
N3 0.1348 0.8652 0.9340
N4 0.1392 0.8608 0.3063
N5 0.1804 0.2662 0.8517
N6 0.1827 0.8173 0.1167
N7 0.2155 0.5010 0.0052
N8 0.2284 0.5142 0.2249
N9 0.2338 0.3196 0.6483
N10 0.2662 0.1804 0.1483
N11 0.2716 0.9858 0.7249
N12 0.2845 0.9990 0.5052
N13 0.3173 0.6827 0.6167
N14 0.3196 0.2338 0.3517
N15 0.3608 0.6392 0.8063
N16 0.3652 0.6348 0.4340
N17 0.4858 0.7716 0.2249
N18 0.4990 0.7845 0.0052
N19 0.5010 0.2155 0.9948
N20 0.5142 0.2284 0.7751
N21 0.6348 0.3652 0.5660
N22 0.6392 0.3608 0.1937
N23 0.6804 0.7662 0.6483
N24 0.6827 0.3173 0.3833
N25 0.7155 0.0010 0.4948
N26 0.7284 0.0142 0.2751
N27 0.7338 0.8196 0.8517
N28 0.7662 0.6804 0.3517
N29 0.7716 0.4858 0.7751
N30 0.7845 0.4990 0.9948
N31 0.8173 0.1827 0.8833
N32 0.8196 0.7338 0.1483
N33 0.8608 0.1392 0.6937
N34 0.8652 0.1348 0.0660
N35 0.9858 0.2716 0.2751
N36 0.9990 0.2845 0.4948



Entry 8:
Here is an optimized crystal structure of ZnGe7N10 from Materials Project. Energies are from PBE-GGA.

Space-group type   Pc, No. 7
VASP energy   -6.403 eV/atom

a = 6.9947 Å, b = 7.3802 Å, c = 10.2892 Å
α = 90.00°, β = 102.74°, γ = 90.00°
Atoms (fractional coordinates):
Zn1 0.0000 0.0879 0.0000
Zn2 0.0000 0.9121 0.5000
Ge1 0.2192 0.3971 0.9376
Ge2 0.2192 0.6029 0.4376
Ge3 0.4063 0.3685 0.2464
Ge4 0.4063 0.6315 0.7464
Ge5 0.4520 0.0164 0.8950
Ge6 0.4520 0.9836 0.3950
Ge7 0.5915 0.3685 0.5518
Ge8 0.5915 0.6315 0.0518
Ge9 0.6605 0.0184 0.1930
Ge10 0.6605 0.9816 0.6930
Ge11 0.7634 0.3669 0.8560
Ge12 0.7634 0.6331 0.3560
Ge13 0.9529 0.3804 0.1738
Ge14 0.9529 0.6196 0.6738
N1 0.1810 0.4218 0.3042
N2 0.1810 0.5782 0.8042
N3 0.2361 0.1470 0.9143
N4 0.2361 0.8530 0.4143
N5 0.3971 0.4831 0.0868
N6 0.3971 0.5169 0.5868
N7 0.4392 0.1240 0.2406
N8 0.4392 0.8760 0.7406
N9 0.5541 0.1238 0.5454
N10 0.5541 0.8762 0.0454
N11 0.5986 0.4563 0.3847
N12 0.5986 0.5437 0.8847
N13 0.6895 0.1242 0.8523
N14 0.6895 0.8758 0.3523
N15 0.8084 0.4141 0.6884
N16 0.8084 0.5859 0.1884
N17 0.8707 0.1409 0.1586
N18 0.8707 0.8591 0.6586
N19 0.9840 0.3911 0.9936
N20 0.9840 0.6089 0.4936



Question: The lowest VASP energy belongs to which entry?
Answer: V3GeN



Question: Which of these has the lowest VASP energy?
Answer: V3GeN



Question: The highest VASP energy belongs to which entry?
Answer: Sr6Ge5N2